Ta6Ni16Ge7, optimized geometry, DFT PBE; spin magnetization = 0.00 μB/f.u.; energy = -7.128 eV/atom; ΔH_f (0 K) = -0.370 eV/atom
1.0
0.000 5.734 5.734
5.734 0.000 5.734
5.734 5.734 0.000
Ta Ni Ge
6 16 7
direct
0.199 0.199 0.801
0.199 0.801 0.199
0.199 0.801 0.801
0.801 0.199 0.199
0.801 0.199 0.801
0.801 0.801 0.199
0.148 0.617 0.617
0.166 0.166 0.166
0.166 0.166 0.502
0.166 0.502 0.166
0.383 0.383 0.383
0.383 0.383 0.852
0.383 0.852 0.383
0.498 0.834 0.834
0.502 0.166 0.166
0.617 0.148 0.617
0.617 0.617 0.148
0.617 0.617 0.617
0.834 0.498 0.834
0.834 0.834 0.498
0.834 0.834 0.834
0.852 0.383 0.383
0.000 0.000 0.500
0.000 0.500 0.000
0.000 0.500 0.500
0.500 0.000 0.000
0.500 0.000 0.500
0.500 0.500 0.000
0.500 0.500 0.500